Crystalline SrGe2Ir2 at its relaxed geometry, computed with GGA-PBE.

```
SrGe2Ir2
1.0
-2.1173 2.1173 5.4178
2.1173 -2.1173 5.4178
2.1173 2.1173 -5.4178
Sr Ge Ir
1 2 2
direct
0.0000 0.0000 0.0000
0.3702 0.3702 0.0000
0.6298 0.6298 0.0000
0.2500 0.7500 0.5000
0.7500 0.2500 0.5000
```

Computed properties:
Electronic total energy (eV/atom): -6.38
Space group: I4/mmm (139)